1:
## Li9Mn7O16 (GGA+U)

Data for crystalline Li9Mn7O16 at its relaxed geometry.

magnetic moment: 26.0 Bohr magnetons per cell

Cell and atoms, written as POSCAR:
```
Li9Mn7O16
1.0
6.057 0.000 0.000
2.594 5.975 0.000
0.125 0.065 8.193
Li Mn O
9 7 16
direct
0.000 0.000 0.000 Li
0.000 0.000 0.500 Li
0.123 0.242 0.244 Li
0.257 0.496 0.998 Li
0.370 0.750 0.754 Li
0.500 0.000 0.500 Li
0.630 0.250 0.246 Li
0.743 0.504 0.002 Li
0.877 0.758 0.756 Li
0.128 0.244 0.753 Mn
0.250 0.500 0.500 Mn
0.363 0.758 0.248 Mn
0.500 0.000 0.000 Mn
0.637 0.242 0.752 Mn
0.750 0.500 0.500 Mn
0.872 0.756 0.247 Mn
0.007 0.978 0.251 O
0.137 0.260 0.511 O
0.165 0.225 0.989 O
0.255 0.484 0.741 O
0.260 0.508 0.258 O
0.365 0.743 0.487 O
0.384 0.761 0.012 O
0.484 0.998 0.237 O
0.516 0.002 0.763 O
0.616 0.239 0.988 O
0.635 0.257 0.513 O
0.740 0.492 0.742 O
0.745 0.516 0.259 O
0.835 0.775 0.011 O
0.863 0.740 0.489 O
0.993 0.022 0.749 O
```


2:
## Li9Mn7O16 (GGA+U)

Data for crystalline Li9Mn7O16 at its relaxed geometry.

magnetic moment: 26.0 Bohr magnetons per cell

Cell and atoms, written as POSCAR:
```
Li9Mn7O16
1.0
5.270 -5.785 0.000
5.270 5.785 0.000
-3.195 0.000 4.903
Li Mn O
9 7 16
direct
0.000 0.000 0.000 Li
0.000 0.000 0.500 Li
0.120 0.366 0.496 Li
0.249 0.751 0.000 Li
0.366 0.120 0.496 Li
0.500 0.500 0.000 Li
0.634 0.880 0.504 Li
0.751 0.249 0.000 Li
0.880 0.634 0.504 Li
0.118 0.367 0.992 Mn
0.248 0.752 0.500 Mn
0.367 0.118 0.992 Mn
0.500 0.500 0.500 Mn
0.633 0.882 0.008 Mn
0.752 0.248 0.500 Mn
0.882 0.633 0.008 Mn
0.003 0.504 0.775 O
0.121 0.857 0.252 O
0.143 0.879 0.748 O
0.243 0.243 0.224 O
0.255 0.255 0.780 O
0.367 0.615 0.264 O
0.385 0.633 0.736 O
0.496 0.997 0.225 O
0.504 0.003 0.775 O
0.615 0.367 0.264 O
0.633 0.385 0.736 O
0.745 0.745 0.220 O
0.757 0.757 0.776 O
0.857 0.121 0.252 O
0.879 0.143 0.748 O
0.997 0.496 0.225 O
```


3:
## Li9Mn7O16 (GGA+U)

Data for crystalline Li9Mn7O16 at its relaxed geometry.

magnetic moment: 26.0 Bohr magnetons per cell

Cell and atoms, written as POSCAR:
```
Li9Mn7O16
1.0
9.871 0.000 0.000
0.000 2.876 0.000
-1.126 0.000 10.467
Li Mn O
9 7 16
direct
0.000 0.000 0.000 Li
0.000 0.000 0.500 Li
0.254 0.500 0.131 Li
0.256 0.500 0.618 Li
0.498 0.000 0.742 Li
0.500 0.500 0.500 Li
0.502 0.000 0.258 Li
0.744 0.500 0.382 Li
0.746 0.500 0.869 Li
0.007 0.500 0.256 Mn
0.247 0.000 0.873 Mn
0.262 0.000 0.387 Mn
0.500 0.500 0.000 Mn
0.738 0.000 0.613 Mn
0.753 0.000 0.127 Mn
0.993 0.500 0.744 Mn
0.106 0.000 0.689 O
0.127 0.000 0.206 O
0.135 0.500 0.936 O
0.142 0.500 0.435 O
0.359 0.500 0.811 O
0.361 0.000 0.542 O
0.364 0.500 0.318 O
0.389 0.000 0.061 O
0.611 0.000 0.939 O
0.636 0.500 0.682 O
0.639 0.000 0.458 O
0.641 0.500 0.189 O
0.858 0.500 0.565 O
0.865 0.500 0.064 O
0.873 0.000 0.794 O
0.894 0.000 0.311 O
```


4:
## Li9Mn7O16 (GGA+U)

Data for crystalline Li9Mn7O16 at its relaxed geometry.

magnetic moment: 26.0 Bohr magnetons per cell

Cell and atoms, written as POSCAR:
```
Li9Mn7O16
1.0
5.337 -2.873 0.000
5.337 2.873 0.000
-1.110 0.000 9.669
Li Mn O
9 7 16
direct
0.000 0.000 0.000 Li
0.118 0.630 0.750 Li
0.123 0.123 0.759 Li
0.370 0.882 0.250 Li
0.371 0.371 0.244 Li
0.629 0.629 0.756 Li
0.630 0.118 0.750 Li
0.877 0.877 0.241 Li
0.882 0.370 0.250 Li
0.000 0.500 0.000 Mn
0.250 0.250 0.501 Mn
0.250 0.750 0.500 Mn
0.500 0.000 0.000 Mn
0.500 0.500 0.000 Mn
0.750 0.250 0.500 Mn
0.750 0.750 0.499 Mn
0.051 0.051 0.380 O
0.053 0.552 0.383 O
0.181 0.658 0.103 O
0.194 0.194 0.114 O
0.301 0.301 0.882 O
0.342 0.819 0.897 O
0.448 0.947 0.617 O
0.449 0.449 0.619 O
0.551 0.551 0.381 O
0.552 0.053 0.383 O
0.658 0.181 0.103 O
0.699 0.699 0.118 O
0.806 0.806 0.886 O
0.819 0.342 0.897 O
0.947 0.448 0.617 O
0.949 0.949 0.620 O
```


The structure with the most favorable energy is 4; the runner-up is 7 meV/atom above it.


1:
## MgV2O4 (GGA+U)

Data for crystalline MgV2O4 at its relaxed geometry.

magnetic moment: 4.0 Bohr magnetons per cell

Cell and atoms, written as POSCAR:
```
MgV2O4
1.0
3.053 0.000 0.000
-0.009 5.232 0.000
-1.512 -1.263 4.888
Mg V O
1 2 4
direct
0.000 0.000 0.000 Mg
0.231 0.736 0.462 V
0.769 0.264 0.538 V
0.152 0.349 0.303 O
0.371 0.107 0.742 O
0.629 0.893 0.258 O
0.848 0.651 0.697 O
```


2:
## MgV2O4 (GGA+U)

Data for crystalline MgV2O4 at its relaxed geometry.

magnetic moment: 16.0 Bohr magnetons per cell

Cell and atoms, written as POSCAR:
```
MgV2O4
1.0
5.930 0.000 0.000
0.000 10.315 0.000
0.000 0.000 5.176
Mg V O
4 8 16
direct
0.250 0.250 0.009 Mg
0.250 0.750 0.339 Mg
0.750 0.250 0.661 Mg
0.750 0.750 0.991 Mg
0.000 0.000 0.500 V
0.000 0.500 0.500 V
0.250 0.514 0.988 V
0.250 0.986 0.988 V
0.500 0.000 0.500 V
0.500 0.500 0.500 V
0.750 0.014 0.012 V
0.750 0.486 0.012 V
0.004 0.115 0.841 O
0.004 0.385 0.841 O
0.250 0.096 0.308 O
0.250 0.404 0.308 O
0.250 0.610 0.644 O
0.250 0.890 0.644 O
0.496 0.115 0.841 O
0.496 0.385 0.841 O
0.504 0.615 0.159 O
0.504 0.885 0.159 O
0.750 0.110 0.356 O
0.750 0.390 0.356 O
0.750 0.596 0.692 O
0.750 0.904 0.692 O
0.996 0.615 0.159 O
0.996 0.885 0.159 O
```


The structure with the most favorable energy is 1; the runner-up is 58 meV/atom above it.


1:
## LiVBO4 (GGA+U)

Data for crystalline LiVBO4 at its relaxed geometry.

magnetic moment: 4.0 Bohr magnetons per cell

Cell and atoms, written as POSCAR:
```
LiVBO4
1.0
8.323 0.000 0.000
0.000 4.852 0.000
-2.280 0.000 7.853
Li V B O
4 4 4 16
direct
0.000 0.172 0.000 Li
0.000 0.828 0.500 Li
0.497 0.311 0.391 Li
0.497 0.689 0.891 Li
0.247 0.185 0.760 V
0.247 0.815 0.260 V
0.747 0.320 0.149 V
0.747 0.680 0.649 V
0.121 0.310 0.378 B
0.121 0.690 0.878 B
0.624 0.195 0.780 B
0.624 0.805 0.280 B
0.112 0.196 0.544 O
0.112 0.804 0.044 O
0.142 0.390 0.889 O
0.142 0.610 0.389 O
0.262 0.181 0.325 O
0.262 0.819 0.825 O
0.466 0.283 0.819 O
0.466 0.717 0.319 O
0.622 0.105 0.252 O
0.622 0.895 0.752 O
0.643 0.344 0.629 O
0.643 0.656 0.129 O
0.763 0.277 0.930 O
0.763 0.723 0.430 O
0.964 0.231 0.247 O
0.964 0.769 0.747 O
```


2:
## LiVBO4 (GGA+U)

Data for crystalline LiVBO4 at its relaxed geometry.

magnetic moment: 4.0 Bohr magnetons per cell

Cell and atoms, written as POSCAR:
```
LiVBO4
1.0
9.088 0.000 0.000
0.000 3.114 0.000
0.000 0.000 9.415
Li V B O
4 4 4 16
direct
0.122 0.250 0.065 Li
0.378 0.750 0.565 Li
0.622 0.250 0.435 Li
0.878 0.750 0.935 Li
0.108 0.250 0.709 V
0.392 0.750 0.209 V
0.608 0.250 0.791 V
0.892 0.750 0.291 V
0.165 0.250 0.385 B
0.335 0.750 0.885 B
0.665 0.250 0.115 B
0.835 0.750 0.615 B
0.011 0.250 0.368 O
0.025 0.250 0.869 O
0.226 0.250 0.515 O
0.249 0.250 0.259 O
0.251 0.750 0.759 O
0.274 0.750 0.015 O
0.475 0.750 0.369 O
0.489 0.750 0.868 O
0.511 0.250 0.132 O
0.525 0.250 0.631 O
0.726 0.250 0.985 O
0.749 0.250 0.241 O
0.751 0.750 0.741 O
0.774 0.750 0.485 O
0.975 0.750 0.131 O
0.989 0.750 0.632 O
```


The structure with the most favorable energy is 2; the runner-up is 41 meV/atom above it.